(a)
Entry from Materials Project: crystalline LiMg30BO31 at its relaxed geometry (GGA-PBE).

The space-group type is Pmm2 (25). The calculation puts the magnetization at 0.0 μB per cell.

Cell: 8.404 8.548 8.612 Å, 90.00 90.00 90.00°
Fractional coordinates of all 63 atoms:
1 Li 0.000 0.014 0.000
2 Mg 0.000 0.002 0.500
3 Mg 0.500 0.002 0.500
4 Mg 0.000 0.493 0.000
5 Mg 0.500 0.504 0.000
6 Mg 0.000 0.498 0.500
7 Mg 0.500 0.498 0.500
8 Mg 0.256 0.000 0.253
9 Mg 0.744 0.000 0.253
10 Mg 0.256 0.000 0.747
11 Mg 0.744 0.000 0.747
12 Mg 0.250 0.500 0.250
13 Mg 0.750 0.500 0.250
14 Mg 0.250 0.500 0.750
15 Mg 0.750 0.500 0.750
16 Mg 0.243 0.749 0.000
17 Mg 0.757 0.749 0.000
18 Mg 0.248 0.750 0.500
19 Mg 0.752 0.750 0.500
20 Mg 0.261 0.252 0.000
21 Mg 0.739 0.252 0.000
22 Mg 0.250 0.250 0.500
23 Mg 0.750 0.250 0.500
24 Mg 0.000 0.755 0.250
25 Mg 0.500 0.752 0.261
26 Mg 0.000 0.755 0.750
27 Mg 0.500 0.752 0.739
28 Mg 0.000 0.245 0.246
29 Mg 0.500 0.245 0.243
30 Mg 0.000 0.245 0.754
31 Mg 0.500 0.245 0.757
32 B 0.500 0.941 0.000
33 O 0.500 0.768 0.000
34 O 0.000 0.750 0.500
35 O 0.500 0.746 0.500
36 O 0.000 0.248 0.000
37 O 0.500 0.275 0.000
38 O 0.000 0.250 0.500
39 O 0.500 0.253 0.500
40 O 0.251 0.752 0.248
41 O 0.749 0.752 0.248
42 O 0.251 0.752 0.752
43 O 0.749 0.752 0.752
44 O 0.251 0.248 0.246
45 O 0.749 0.248 0.246
46 O 0.251 0.248 0.754
47 O 0.749 0.248 0.754
48 O 0.338 0.996 0.000
49 O 0.662 0.996 0.000
50 O 0.247 0.000 0.500
51 O 0.753 0.000 0.500
52 O 0.250 0.506 0.000
53 O 0.750 0.506 0.000
54 O 0.249 0.500 0.500
55 O 0.751 0.500 0.500
56 O 0.000 0.001 0.247
57 O 0.500 0.996 0.269
58 O 0.000 0.001 0.753
59 O 0.500 0.996 0.731
60 O 0.000 0.499 0.250
61 O 0.500 0.507 0.249
62 O 0.000 0.499 0.750
63 O 0.500 0.507 0.751



(b)
Entry from Materials Project: crystalline LiMg30BO31 at its relaxed geometry (GGA-PBE).

The space-group type is Pmm2 (25). The calculation puts the magnetization at 0.0 μB per cell.

Cell: 8.396 8.545 8.631 Å, 90.00 90.00 90.00°
Fractional coordinates of all 63 atoms:
1 Li 0.000 0.998 0.000
2 Mg 0.000 0.998 0.500
3 Mg 0.500 0.998 0.000
4 Mg 0.000 0.501 0.000
5 Mg 0.000 0.510 0.500
6 Mg 0.500 0.502 0.000
7 Mg 0.500 0.495 0.500
8 Mg 0.744 0.000 0.759
9 Mg 0.744 0.000 0.241
10 Mg 0.256 0.000 0.759
11 Mg 0.256 0.000 0.241
12 Mg 0.750 0.499 0.751
13 Mg 0.750 0.499 0.249
14 Mg 0.250 0.499 0.751
15 Mg 0.250 0.499 0.249
16 Mg 0.000 0.245 0.759
17 Mg 0.000 0.245 0.241
18 Mg 0.500 0.248 0.762
19 Mg 0.500 0.248 0.238
20 Mg 0.000 0.754 0.753
21 Mg 0.000 0.754 0.247
22 Mg 0.500 0.755 0.744
23 Mg 0.500 0.755 0.256
24 Mg 0.754 0.246 0.000
25 Mg 0.755 0.252 0.500
26 Mg 0.246 0.246 0.000
27 Mg 0.245 0.252 0.500
28 Mg 0.752 0.753 0.000
29 Mg 0.737 0.747 0.500
30 Mg 0.248 0.753 0.000
31 Mg 0.263 0.747 0.500
32 B 0.500 0.059 0.500
33 O 0.000 0.257 0.000
34 O 0.500 0.254 0.000
35 O 0.500 0.230 0.500
36 O 0.000 0.743 0.000
37 O 0.000 0.758 0.500
38 O 0.500 0.746 0.000
39 O 0.500 0.723 0.500
40 O 0.751 0.248 0.748
41 O 0.751 0.248 0.252
42 O 0.249 0.248 0.748
43 O 0.249 0.248 0.252
44 O 0.749 0.752 0.746
45 O 0.749 0.752 0.254
46 O 0.251 0.752 0.746
47 O 0.251 0.752 0.254
48 O 0.000 0.999 0.733
49 O 0.000 0.999 0.267
50 O 0.500 0.004 0.768
51 O 0.500 0.004 0.232
52 O 0.000 0.500 0.746
53 O 0.000 0.500 0.254
54 O 0.500 0.492 0.748
55 O 0.500 0.492 0.252
56 O 0.750 0.000 0.000
57 O 0.664 0.003 0.500
58 O 0.250 0.000 0.000
59 O 0.336 0.003 0.500
60 O 0.750 0.500 0.000
61 O 0.752 0.493 0.500
62 O 0.250 0.500 0.000
63 O 0.248 0.493 0.500



Winner for stability: (a)



(a)
Entry from Materials Project: crystalline Li4B2O5 at its relaxed geometry (GGA-PBE).

The space-group type is P-1 (2). The calculation puts the magnetization at 0.0 μB per cell.

Cell: 4.879 7.021 7.065 Å, 60.47 70.17 75.04°
Fractional coordinates of all 22 atoms:
1 Li 0.973 0.424 0.205
2 Li 0.503 0.690 0.972
3 Li 0.790 0.337 0.656
4 Li 0.029 0.031 0.306
5 Li 0.971 0.969 0.694
6 Li 0.210 0.663 0.344
7 Li 0.497 0.310 0.028
8 Li 0.027 0.576 0.795
9 B 0.111 0.143 0.919
10 B 0.549 0.724 0.531
11 B 0.451 0.276 0.469
12 B 0.889 0.857 0.081
13 O 0.735 0.195 0.485
14 O 0.787 0.751 0.339
15 O 0.130 0.276 0.010
16 O 0.627 0.592 0.733
17 O 0.793 0.098 0.963
18 O 0.207 0.902 0.037
19 O 0.373 0.408 0.267
20 O 0.870 0.724 0.990
21 O 0.213 0.249 0.661
22 O 0.265 0.805 0.515



(b)
Entry from Materials Project: crystalline Li4B2O5 at its relaxed geometry (GGA-PBE).

The space-group type is C2/c (15). The calculation puts the magnetization at 0.0 μB per cell.

Cell: 6.017 6.017 6.057 Å, 74.99 74.99 73.23°
Fractional coordinates of all 22 atoms:
1 Li 0.328 0.935 0.235
2 Li 0.658 0.610 0.033
3 Li 0.935 0.328 0.735
4 Li 0.610 0.658 0.533
5 Li 0.390 0.342 0.467
6 Li 0.065 0.672 0.265
7 Li 0.342 0.390 0.967
8 Li 0.672 0.065 0.765
9 B 0.945 0.247 0.341
10 B 0.247 0.945 0.841
11 B 0.753 0.055 0.159
12 B 0.055 0.753 0.659
13 O 0.675 0.852 0.215
14 O 0.852 0.675 0.715
15 O 0.737 0.335 0.481
16 O 0.955 0.045 0.250
17 O 0.335 0.737 0.981
18 O 0.665 0.263 0.019
19 O 0.045 0.955 0.750
20 O 0.263 0.665 0.519
21 O 0.148 0.325 0.285
22 O 0.325 0.148 0.785



Winner for stability: (b)



(a)
Entry from Materials Project: crystalline Li3SnB2O6 at its relaxed geometry (GGA-PBE).

The space-group type is P-1 (2). The calculation puts the magnetization at 0.0 μB per cell.

Cell: 5.014 7.254 8.011 Å, 110.74 92.58 89.62°
Fractional coordinates of all 24 atoms:
1 Li 0.820 0.089 0.939
2 Li 0.681 0.943 0.252
3 Li 0.672 0.240 0.622
4 Li 0.328 0.760 0.378
5 Li 0.319 0.057 0.748
6 Li 0.180 0.911 0.061
7 Sn 0.867 0.448 0.327
8 Sn 0.133 0.552 0.673
9 B 0.834 0.867 0.573
10 B 0.657 0.685 0.897
11 B 0.343 0.315 0.103
12 B 0.166 0.133 0.427
13 O 0.895 0.168 0.393
14 O 0.777 0.518 0.776
15 O 0.796 0.841 0.010
16 O 0.716 0.741 0.406
17 O 0.692 0.009 0.691
18 O 0.626 0.316 0.109
19 O 0.374 0.684 0.891
20 O 0.308 0.991 0.309
21 O 0.284 0.259 0.594
22 O 0.204 0.159 0.990
23 O 0.223 0.482 0.224
24 O 0.105 0.832 0.607



(b)
Entry from Materials Project: crystalline Li3SnB2O6 at its relaxed geometry (GGA-PBE).

The space-group type is P2_1/c (14). The calculation puts the magnetization at 0.0 μB per cell.

Cell: 6.455 8.849 10.106 Å, 63.14 90.00 90.00°
Fractional coordinates of all 48 atoms:
1 Li 0.244 0.394 0.979
2 Li 0.938 0.291 0.169
3 Li 0.744 0.606 0.521
4 Li 0.722 0.159 0.044
5 Li 0.562 0.291 0.669
6 Li 0.222 0.841 0.456
7 Li 0.778 0.159 0.544
8 Li 0.438 0.709 0.331
9 Li 0.278 0.841 0.956
10 Li 0.256 0.394 0.479
11 Li 0.062 0.709 0.831
12 Li 0.756 0.606 0.021
13 Sn 0.468 0.191 0.300
14 Sn 0.032 0.191 0.800
15 Sn 0.968 0.809 0.200
16 Sn 0.532 0.809 0.700
17 B 0.336 0.540 0.678
18 B 0.836 0.460 0.822
19 B 0.827 0.948 0.388
20 B 0.327 0.052 0.112
21 B 0.673 0.948 0.888
22 B 0.173 0.052 0.612
23 B 0.164 0.540 0.178
24 B 0.664 0.460 0.322
25 O 0.787 0.618 0.814
26 O 0.294 0.587 0.789
27 O 0.441 0.658 0.553
28 O 0.941 0.342 0.947
29 O 0.794 0.413 0.711
30 O 0.708 0.990 0.482
31 O 0.432 0.205 0.061
32 O 0.287 0.382 0.686
33 O 0.830 0.059 0.239
34 O 0.330 0.941 0.261
35 O 0.932 0.795 0.439
36 O 0.208 0.010 0.018
37 O 0.792 0.990 0.982
38 O 0.068 0.205 0.561
39 O 0.670 0.059 0.739
40 O 0.170 0.941 0.761
41 O 0.713 0.618 0.314
42 O 0.568 0.795 0.939
43 O 0.292 0.010 0.518
44 O 0.206 0.587 0.289
45 O 0.059 0.658 0.053
46 O 0.559 0.342 0.447
47 O 0.706 0.413 0.211
48 O 0.213 0.382 0.186



Winner for stability: (a)



(a)
Entry from Materials Project: crystalline LiZnBO3 at its relaxed geometry (GGA-PBE).

The space-group type is P1 (1). For the piezoelectric modulus e_max, the calculation gives 0.353 C/m2. The calculation puts the magnetization at 0.0 μB per cell.

Cell: 5.063 5.065 11.503 Å, 89.98 90.57 119.98°
Fractional coordinates of all 24 atoms:
1 Li 0.645 0.652 0.532
2 Li 0.650 0.631 0.717
3 Li 0.329 0.360 0.314
4 Li 0.343 0.351 0.936
5 Zn 0.998 0.669 0.340
6 Zn 0.320 0.981 0.123
7 Zn 0.995 0.323 0.625
8 Zn 0.696 0.015 0.909
9 B 0.992 0.330 0.126
10 B 0.328 0.989 0.625
11 B 0.672 0.020 0.371
12 B 0.015 0.667 0.879
13 O 0.983 0.587 0.165
14 O 0.586 0.956 0.634
15 O 0.657 0.737 0.375
16 O 0.733 0.655 0.875
17 O 0.947 0.281 0.399
18 O 0.273 0.939 0.911
19 O 0.729 0.079 0.083
20 O 0.036 0.731 0.617
21 O 0.265 0.332 0.127
22 O 0.361 0.280 0.625
23 O 0.412 0.033 0.341
24 O 0.031 0.407 0.851



(b)
Entry from Materials Project: crystalline LiZnBO3 at its relaxed geometry (GGA-PBE).

The space-group type is P1 (1). The calculation puts the magnetization at 0.0 μB per cell.

Cell: 5.082 8.859 11.222 Å, 90.01 90.41 90.10°
Fractional coordinates of all 48 atoms:
1 Li 0.675 0.015 0.166
2 Li 0.348 0.998 0.898
3 Li 0.336 0.003 0.353
4 Li 0.824 0.510 0.333
5 Li 0.104 0.492 0.726
6 Li 0.165 0.509 0.153
7 Li 0.152 0.506 0.534
8 Li 0.661 0.994 0.672
9 Zn 0.855 0.169 0.891
10 Zn 0.160 0.162 0.621
11 Zn 0.662 0.345 0.102
12 Zn 0.344 0.326 0.353
13 Zn 0.651 0.666 0.650
14 Zn 0.840 0.838 0.395
15 Zn 0.366 0.655 0.908
16 Zn 0.150 0.839 0.112
17 B 0.844 0.169 0.371
18 B 0.167 0.171 0.130
19 B 0.658 0.336 0.625
20 B 0.345 0.327 0.885
21 B 0.664 0.673 0.134
22 B 0.845 0.831 0.874
23 B 0.340 0.670 0.367
24 B 0.152 0.826 0.623
25 O 0.705 0.037 0.349
26 O 0.903 0.169 0.099
27 O 0.310 0.038 0.131
28 O 0.781 0.198 0.649
29 O 0.723 0.307 0.357
30 O 0.223 0.191 0.854
31 O 0.111 0.162 0.404
32 O 0.605 0.326 0.925
33 O 0.811 0.467 0.621
34 O 0.293 0.306 0.162
35 O 0.384 0.345 0.610
36 O 0.799 0.539 0.154
37 O 0.211 0.460 0.878
38 O 0.714 0.700 0.838
39 O 0.605 0.665 0.389
40 O 0.197 0.533 0.364
41 O 0.397 0.665 0.097
42 O 0.782 0.811 0.147
43 O 0.882 0.835 0.593
44 O 0.264 0.683 0.638
45 O 0.207 0.805 0.348
46 O 0.712 0.968 0.863
47 O 0.106 0.828 0.917
48 O 0.297 0.957 0.637



(c)
Entry from Materials Project: crystalline LiZnBO3 at its relaxed geometry (GGA-PBE).

The space-group type is Cc (9).

Cell: 5.154 5.154 6.181 Å, 65.31 65.31 59.56°
Fractional coordinates of all 12 atoms:
1 Li 0.935 0.771 0.689
2 Li 0.771 0.935 0.189
3 Zn 0.277 0.110 0.670
4 Zn 0.110 0.277 0.170
5 B 0.414 0.591 0.251
6 B 0.591 0.414 0.751
7 O 0.136 0.853 0.269
8 O 0.853 0.136 0.769
9 O 0.691 0.598 0.214
10 O 0.400 0.305 0.291
11 O 0.305 0.400 0.791
12 O 0.598 0.691 0.714



Winner for stability: (c)